# Na3Al4P3S3O24 | Materials Project | GGA-PBE | optimized geometry
data_Na3Al4P3S3O24
_chemical_formula_sum 'Na9 Al12 P9 S9 O72'
_symmetry_space_group_name_H-M 'P 1'
_symmetry_Int_Tables_number 1
_symmetry_space_group_name_Hall 'P 1'
_cell_length_a 8.383
_cell_length_b 8.406
_cell_length_c 21.700
_cell_angle_alpha 89.22
_cell_angle_beta 89.91
_cell_angle_gamma 60.11
loop_
_atom_site_label
_atom_site_fract_x
_atom_site_fract_y
_atom_site_fract_z
Na1 0.000 0.000 0.000
Na2 0.001 0.990 0.501
Na3 0.028 0.657 0.085
Na4 0.331 0.329 0.667
Na5 0.334 0.323 0.167
Na6 0.361 0.990 0.751
Na7 0.641 0.990 0.251
Na8 0.670 0.651 0.834
Na9 0.671 0.650 0.334
Al1 0.013 0.993 0.852
Al2 0.016 0.988 0.649
Al3 0.329 0.327 0.815
Al4 0.336 0.305 0.020
Al5 0.337 0.328 0.315
Al6 0.343 0.309 0.519
Al7 0.660 0.670 0.482
Al8 0.665 0.652 0.686
Al9 0.668 0.662 0.982
Al10 0.682 0.646 0.186
Al11 0.987 0.000 0.148
Al12 0.987 0.992 0.353
P1 0.007 0.697 0.250
P2 0.289 0.696 0.751
P3 0.336 0.032 0.917
P4 0.379 0.945 0.584
P5 0.623 0.035 0.417
P6 0.664 0.947 0.084
P7 0.712 0.284 0.251
P8 0.955 0.364 0.083
P9 0.995 0.284 0.750
S1 0.046 0.323 0.417
S2 0.046 0.613 0.917
S3 0.285 0.989 0.251
S4 0.334 0.612 0.418
S5 0.382 0.657 0.084
S6 0.623 0.323 0.917
S7 0.668 0.368 0.583
S8 0.719 0.990 0.750
S9 0.957 0.657 0.584
O1 0.024 0.798 0.909
O2 0.030 0.156 0.410
O3 0.038 0.159 0.694
O4 0.039 0.783 0.191
O5 0.127 0.358 0.362
O6 0.128 0.498 0.863
O7 0.142 0.493 0.576
O8 0.146 0.353 0.075
O9 0.159 0.292 0.473
O10 0.160 0.533 0.974
O11 0.163 0.013 0.910
O12 0.169 0.782 0.693
O13 0.171 0.797 0.409
O14 0.172 0.298 0.759
O15 0.174 0.022 0.195
O16 0.175 0.506 0.260
O17 0.187 0.966 0.591
O18 0.196 0.820 0.091
O19 0.206 0.821 0.807
O20 0.206 0.957 0.307
O21 0.300 0.153 0.973
O22 0.300 0.529 0.473
O23 0.309 0.153 0.257
O24 0.313 0.504 0.760
O25 0.358 0.138 0.576
O26 0.358 0.494 0.076
O27 0.367 0.499 0.362
O28 0.370 0.118 0.858
O29 0.461 0.690 0.028
O30 0.466 0.824 0.528
O31 0.472 0.827 0.244
O32 0.480 0.682 0.742
O33 0.494 0.623 0.140
O34 0.497 0.139 0.076
O35 0.499 0.860 0.643
O36 0.500 0.352 0.576
O37 0.502 0.627 0.425
O38 0.503 0.119 0.358
O39 0.507 0.357 0.862
O40 0.508 0.840 0.926
O41 0.521 0.298 0.259
O42 0.531 0.153 0.757
O43 0.537 0.156 0.473
O44 0.539 0.293 0.973
O45 0.631 0.862 0.143
O46 0.636 0.480 0.638
O47 0.642 0.487 0.924
O48 0.644 0.842 0.425
O49 0.688 0.476 0.241
O50 0.694 0.827 0.744
O51 0.702 0.450 0.528
O52 0.706 0.823 0.028
O53 0.793 0.159 0.195
O54 0.797 0.023 0.694
O55 0.805 0.156 0.910
O56 0.816 0.014 0.410
O57 0.828 0.475 0.741
O58 0.830 0.684 0.243
O59 0.830 0.957 0.807
O60 0.831 0.183 0.592
O61 0.833 0.197 0.308
O62 0.834 0.454 0.026
O63 0.841 0.961 0.091
O64 0.843 0.687 0.528
O65 0.861 0.487 0.425
O66 0.863 0.629 0.924
O67 0.875 0.488 0.139
O68 0.876 0.622 0.639
O69 0.962 0.197 0.808
O70 0.966 0.822 0.306
O71 0.972 0.824 0.591
O72 0.981 0.173 0.092
# * theoretical density: 2.8 g/cm³
# * energy relative to the elements: -2642 meV/atom
# * E (MP2020): -7.138 eV per atom

# Na3Sc2Al2P3S3O24 | Materials Project | GGA-PBE | optimized geometry
data_Na3Sc2Al2P3S3O24
_chemical_formula_sum 'Na9 Sc6 Al6 P9 S9 O72'
_symmetry_space_group_name_H-M 'P 1'
_symmetry_Int_Tables_number 1
_symmetry_space_group_name_Hall 'P 1'
_cell_length_a 8.626
_cell_length_b 8.632
_cell_length_c 22.294
_cell_angle_alpha 89.25
_cell_angle_beta 89.98
_cell_angle_gamma 60.10
loop_
_atom_site_label
_atom_site_fract_x
_atom_site_fract_y
_atom_site_fract_z
Na1 0.000 0.000 0.000
Na2 0.000 0.021 0.502
Na3 0.029 0.666 0.586
Na4 0.327 0.346 0.169
Na5 0.334 0.333 0.667
Na6 0.356 0.996 0.252
Na7 0.645 0.998 0.750
Na8 0.673 0.651 0.338
Na9 0.675 0.652 0.831
Sc1 0.011 0.001 0.358
Sc2 0.016 0.995 0.152
Sc3 0.341 0.321 0.020
Sc4 0.659 0.681 0.978
Sc5 0.668 0.661 0.188
Sc6 0.988 0.005 0.849
Al1 0.331 0.332 0.320
Al2 0.336 0.342 0.812
Al3 0.337 0.310 0.521
Al4 0.668 0.673 0.485
Al5 0.685 0.655 0.682
Al6 0.979 0.015 0.649
P1 0.005 0.701 0.746
P2 0.009 0.298 0.255
P3 0.296 0.690 0.255
P4 0.350 0.038 0.420
P5 0.371 0.961 0.085
P6 0.619 0.049 0.911
P7 0.665 0.955 0.585
P8 0.701 0.305 0.747
P9 0.954 0.374 0.582
S1 0.047 0.609 0.422
S2 0.049 0.333 0.913
S3 0.293 0.997 0.747
S4 0.334 0.620 0.914
S5 0.382 0.667 0.583
S6 0.609 0.342 0.421
S7 0.669 0.370 0.083
S8 0.702 0.009 0.254
S9 0.962 0.668 0.083
O1 0.023 0.791 0.416
O2 0.035 0.792 0.690
O3 0.036 0.169 0.909
O4 0.046 0.179 0.199
O5 0.132 0.504 0.368
O6 0.140 0.354 0.860
O7 0.143 0.359 0.574
O8 0.143 0.511 0.080
O9 0.145 0.315 0.969
O10 0.157 0.527 0.476
O11 0.170 0.515 0.758
O12 0.175 0.026 0.695
O13 0.179 0.801 0.908
O14 0.181 0.018 0.416
O15 0.182 0.306 0.264
O16 0.184 0.769 0.197
O17 0.184 0.978 0.086
O18 0.200 0.827 0.589
O19 0.206 0.819 0.307
O20 0.220 0.967 0.802
O21 0.311 0.543 0.970
O22 0.314 0.160 0.752
O23 0.318 0.505 0.266
O24 0.319 0.158 0.473
O25 0.350 0.512 0.861
O26 0.351 0.148 0.082
O27 0.357 0.508 0.578
O28 0.372 0.124 0.361
O29 0.464 0.695 0.529
O30 0.467 0.848 0.030
O31 0.475 0.876 0.144
O32 0.476 0.841 0.740
O33 0.480 0.679 0.249
O34 0.494 0.638 0.637
O35 0.501 0.144 0.576
O36 0.501 0.628 0.916
O37 0.504 0.360 0.080
O38 0.504 0.365 0.366
O39 0.507 0.145 0.855
O40 0.517 0.314 0.756
O41 0.519 0.851 0.428
O42 0.521 0.169 0.260
O43 0.521 0.321 0.475
O44 0.534 0.153 0.969
O45 0.629 0.503 0.426
O46 0.635 0.862 0.914
O47 0.636 0.870 0.642
O48 0.652 0.473 0.137
O49 0.675 0.851 0.249
O50 0.678 0.490 0.734
O51 0.691 0.455 0.029
O52 0.706 0.830 0.531
O53 0.780 0.034 0.199
O54 0.788 0.179 0.417
O55 0.790 0.170 0.695
O56 0.808 0.026 0.910
O57 0.813 0.979 0.307
O58 0.816 0.229 0.804
O59 0.826 0.190 0.088
O60 0.834 0.463 0.527
O61 0.834 0.685 0.738
O62 0.838 0.971 0.593
O63 0.848 0.486 0.248
O64 0.859 0.684 0.029
O65 0.868 0.624 0.427
O66 0.869 0.493 0.916
O67 0.876 0.499 0.637
O68 0.880 0.643 0.137
O69 0.960 0.824 0.801
O70 0.972 0.833 0.087
O71 0.974 0.210 0.309
O72 0.977 0.187 0.594
# * theoretical density: 2.7 g/cm³
# * energy relative to the elements: -2738 meV/atom
# * E (MP2020): -7.374 eV per atom

# Na5Sc2Al2P5SO24 | Materials Project | GGA-PBE | optimized geometry
data_Na5Sc2Al2P5SO24
_chemical_formula_sum 'Na15 Sc6 Al6 P15 S3 O72'
_symmetry_space_group_name_H-M 'P 1'
_symmetry_Int_Tables_number 1
_symmetry_space_group_name_Hall 'P 1'
_cell_length_a 8.760
_cell_length_b 8.767
_cell_length_c 22.044
_cell_angle_alpha 89.83
_cell_angle_beta 89.76
_cell_angle_gamma 60.08
loop_
_atom_site_label
_atom_site_fract_x
_atom_site_fract_y
_atom_site_fract_z
Na1 0.000 0.000 0.000
Na2 0.002 0.722 0.500
Na3 0.023 0.668 0.833
Na4 0.035 0.026 0.332
Na5 0.300 0.396 0.331
Na6 0.329 0.059 0.167
Na7 0.335 0.331 0.667
Na8 0.352 0.709 0.414
Na9 0.354 0.699 0.920
Na10 0.642 0.359 0.500
Na11 0.659 0.045 0.081
Na12 0.667 0.387 0.835
Na13 0.676 0.014 0.586
Na14 0.978 0.385 0.244
Na15 0.994 0.356 0.753
Sc1 0.331 0.698 0.565
Sc2 0.333 0.691 0.262
Sc3 0.660 0.028 0.433
Sc4 0.674 0.025 0.736
Sc5 0.989 0.366 0.606
Sc6 0.996 0.366 0.394
Al1 0.001 0.353 0.901
Al2 0.009 0.348 0.097
Al3 0.333 0.695 0.773
Al4 0.341 0.686 0.064
Al5 0.649 0.040 0.934
Al6 0.673 0.037 0.228
P1 0.003 0.066 0.497
P2 0.033 0.992 0.161
P3 0.042 0.697 0.671
P4 0.295 0.068 0.000
P5 0.296 0.358 0.501
P6 0.331 0.398 0.162
P7 0.365 0.323 0.835
P8 0.381 0.025 0.325
P9 0.622 0.408 0.672
P10 0.666 0.320 0.329
P11 0.666 0.734 0.838
P12 0.705 0.658 0.500
P13 0.708 0.364 0.999
P14 0.950 0.742 0.328
P15 0.966 0.028 0.839
S1 0.001 0.646 0.000
S2 0.334 0.982 0.672
S3 0.636 0.689 0.161
O1 0.016 0.177 0.153
O2 0.018 0.148 0.437
O3 0.023 0.545 0.944
O4 0.036 0.523 0.671
O5 0.124 0.711 0.611
O6 0.131 0.870 0.106
O7 0.138 0.722 0.323
O8 0.147 0.860 0.829
O9 0.151 0.917 0.218
O10 0.158 0.684 0.727
O11 0.161 0.668 0.005
O12 0.164 0.161 0.948
O13 0.164 0.880 0.502
O14 0.166 0.376 0.153
O15 0.175 0.160 0.671
O16 0.178 0.353 0.848
O17 0.187 0.380 0.444
O18 0.197 0.195 0.328
O19 0.206 0.346 0.560
O20 0.215 0.177 0.059
O21 0.300 0.498 0.223
O22 0.311 0.882 0.008
O23 0.315 0.526 0.502
O24 0.322 0.888 0.726
O25 0.347 0.511 0.829
O26 0.349 0.889 0.615
O27 0.351 0.866 0.322
O28 0.359 0.499 0.110
O29 0.433 0.221 0.776
O30 0.474 0.044 0.268
O31 0.479 0.051 0.990
O32 0.482 0.008 0.384
O33 0.483 0.199 0.499
O34 0.490 0.005 0.674
O35 0.496 0.209 0.168
O36 0.500 0.503 0.324
O37 0.501 0.230 0.887
O38 0.503 0.709 0.829
O39 0.511 0.723 0.110
O40 0.522 0.491 0.612
O41 0.522 0.520 0.728
O42 0.523 0.673 0.504
O43 0.524 0.528 0.010
O44 0.564 0.657 0.217
O45 0.633 0.226 0.674
O46 0.638 0.857 0.893
O47 0.642 0.245 0.390
O48 0.648 0.852 0.166
O49 0.684 0.201 0.276
O50 0.691 0.838 0.497
O51 0.693 0.193 0.992
O52 0.710 0.807 0.782
O53 0.790 0.392 0.941
O54 0.793 0.544 0.444
O55 0.808 0.385 0.671
O56 0.812 0.534 0.151
O57 0.817 0.569 0.557
O58 0.832 0.546 0.847
O59 0.835 0.332 0.331
O60 0.835 0.844 0.274
O61 0.837 0.046 0.497
O62 0.839 0.326 0.052
O63 0.843 0.072 0.784
O64 0.844 0.827 0.997
O65 0.850 0.008 0.170
O66 0.857 0.858 0.674
O67 0.877 0.990 0.894
O68 0.879 0.840 0.389
O69 0.978 0.554 0.330
O70 0.980 0.184 0.552
O71 0.981 0.555 0.053
O72 0.984 0.194 0.847
# * theoretical density: 2.8 g/cm³
# * energy relative to the elements: -2886 meV/atom
# * E (MP2020): -7.417 eV per atom

# NaAl2Sn2P3S3O24 | Materials Project | GGA-PBE | optimized geometry
data_NaAl2Sn2P3S3O24
_chemical_formula_sum 'Na3 Al6 Sn6 P9 S9 O72'
_symmetry_space_group_name_H-M 'P 1'
_symmetry_Int_Tables_number 1
_symmetry_space_group_name_Hall 'P 1'
_cell_length_a 8.531
_cell_length_b 8.533
_cell_length_c 22.183
_cell_angle_alpha 89.82
_cell_angle_beta 89.67
_cell_angle_gamma 60.03
loop_
_atom_site_label
_atom_site_fract_x
_atom_site_fract_y
_atom_site_fract_z
Na1 0.000 0.000 0.000
Na2 0.021 0.995 0.503
Na3 0.349 0.334 0.839
Al1 0.000 0.986 0.855
Al2 0.002 0.001 0.144
Al3 0.018 0.993 0.358
Al4 0.022 0.986 0.652
Al5 0.333 0.327 0.481
Al6 0.347 0.323 0.983
Sn1 0.343 0.323 0.188
Sn2 0.350 0.322 0.691
Sn3 0.669 0.662 0.522
Sn4 0.678 0.654 0.318
Sn5 0.679 0.659 0.814
Sn6 0.691 0.654 0.022
P1 0.060 0.318 0.085
P2 0.290 0.715 0.753
P3 0.335 0.043 0.585
P4 0.374 0.657 0.419
P5 0.636 0.040 0.084
P6 0.678 0.358 0.919
P7 0.735 0.991 0.752
P8 0.977 0.361 0.419
P9 0.982 0.657 0.919
S1 0.011 0.271 0.753
S2 0.011 0.715 0.252
S3 0.056 0.620 0.585
S4 0.292 0.991 0.252
S5 0.338 0.622 0.086
S6 0.376 0.960 0.920
S7 0.640 0.318 0.584
S8 0.678 0.962 0.419
S9 0.731 0.272 0.253
O1 0.000 0.825 0.910
O2 0.034 0.798 0.307
O3 0.038 0.164 0.808
O4 0.038 0.801 0.591
O5 0.048 0.145 0.095
O6 0.126 0.365 0.144
O7 0.128 0.511 0.641
O8 0.159 0.343 0.430
O9 0.165 0.025 0.593
O10 0.165 0.487 0.930
O11 0.172 0.534 0.532
O12 0.174 0.294 0.750
O13 0.174 0.800 0.095
O14 0.175 0.531 0.248
O15 0.178 0.801 0.810
O16 0.182 0.291 0.031
O17 0.183 0.017 0.307
O18 0.189 0.825 0.408
O19 0.198 0.978 0.911
O20 0.209 0.821 0.695
O21 0.209 0.966 0.198
O22 0.307 0.523 0.749
O23 0.307 0.537 0.033
O24 0.311 0.155 0.250
O25 0.311 0.163 0.529
O26 0.363 0.137 0.928
O27 0.364 0.489 0.434
O28 0.375 0.117 0.642
O29 0.379 0.514 0.143
O30 0.451 0.712 0.474
O31 0.453 0.843 0.974
O32 0.476 0.829 0.258
O33 0.481 0.690 0.758
O34 0.494 0.884 0.866
O35 0.496 0.615 0.362
O36 0.497 0.645 0.079
O37 0.506 0.854 0.578
O38 0.509 0.341 0.929
O39 0.518 0.137 0.430
O40 0.528 0.360 0.640
O41 0.529 0.109 0.145
O42 0.540 0.162 0.750
O43 0.544 0.165 0.031
O44 0.546 0.295 0.248
O45 0.551 0.293 0.531
O46 0.633 0.484 0.863
O47 0.636 0.886 0.364
O48 0.651 0.854 0.078
O49 0.661 0.480 0.580
O50 0.712 0.455 0.256
O51 0.714 0.822 0.757
O52 0.717 0.440 0.976
O53 0.726 0.840 0.472
O54 0.813 0.024 0.808
O55 0.813 0.164 0.307
O56 0.818 0.155 0.592
O57 0.825 0.019 0.094
O58 0.839 0.189 0.198
O59 0.840 0.977 0.408
O60 0.841 0.973 0.694
O61 0.846 0.696 0.257
O62 0.849 0.442 0.475
O63 0.849 0.453 0.756
O64 0.850 0.175 0.909
O65 0.856 0.708 0.975
O66 0.869 0.482 0.080
O67 0.875 0.638 0.578
O68 0.901 0.484 0.363
O69 0.901 0.614 0.863
O70 0.987 0.822 0.198
O71 0.989 0.177 0.409
O72 0.990 0.191 0.697
# * theoretical density: 3.2 g/cm³
# * energy relative to the elements: -2402 meV/atom
# * E (MP2020): -7.095 eV per atom

Look up the E (MP2020) of the first one. -7.138 eV per atom